Entry from the Materials Project: crystalline Ca4ZnAg3 at its relaxed geometry (GGA-PBE).

Lattice parameters (Å, degrees): 4.0716 4.6681 11.4243 90.00 90.00 90.00
Sites, in units of the cell vectors:
Ca: 0.0000 0.0000 0.3580
Ag: 0.0000 0.5000 0.9255
Ag: 0.5000 0.0000 0.5698
Ag: 0.0000 0.0000 0.0745
Ca: 0.5000 0.0000 0.8568
Ca: 0.5000 0.5000 0.1438
Ca: 0.0000 0.5000 0.6421
Zn: 0.5000 0.5000 0.4295

Energy of formation from the pure elements   -312 meV/atom

Entry from the Materials Project: crystalline Cr4CdAgSe8 at its relaxed geometry (GGA-PBE).

Lattice parameters (Å, degrees): 7.6532 7.6532 7.6532 60.00 60.00 60.00
Sites, in units of the cell vectors:
Cr: 0.1234 0.1234 0.1234
Se: 0.8894 0.3318 0.8894
Ag: 0.7500 0.7500 0.7500
Cr: 0.6297 0.1234 0.1234
Se: 0.3593 0.3593 0.9221
Se: 0.3318 0.8894 0.8894
Cr: 0.1234 0.1234 0.6297
Se: 0.3593 0.3593 0.3593
Cr: 0.1234 0.6297 0.1234
Se: 0.3593 0.9221 0.3593
Se: 0.9221 0.3593 0.3593
Se: 0.8894 0.8894 0.8894
Cd: 0.5000 0.5000 0.5000
Se: 0.8894 0.8894 0.3318

Energy of formation from the pure elements   -766 meV/atom

Entry from the Materials Project: crystalline EuCdAg2 at its relaxed geometry (GGA-PBE).

Lattice parameters (Å, degrees): 5.1486 5.1486 5.1486 60.00 60.00 60.00
Sites, in units of the cell vectors:
Ag: 0.2500 0.2500 0.2500
Cd: 0.5000 0.5000 0.5000
Ag: 0.7500 0.7500 0.7500
Eu: 0.0000 0.0000 0.0000

Energy of formation from the pure elements   -232 meV/atom

Entry from the Materials Project: crystalline Zr3Cd3AgF20 at its relaxed geometry (GGA-PBE).

Lattice parameters (Å, degrees): 10.7570 10.7570 8.5210 90.00 90.00 120.00
Sites, in units of the cell vectors:
F: 0.6667 0.3333 0.2500
F: 0.8000 0.7650 0.2500
Zr: 0.8622 0.5846 0.7500
Cd: 0.2712 0.8373 0.7500
F: 0.5276 0.9407 0.7500
F: 0.2806 0.0559 0.7500
F: 0.9650 0.2000 0.2500
Ag: 0.0000 0.0000 0.2500
F: 0.0593 0.5869 0.7500
Cd: 0.5661 0.7288 0.7500
F: 0.1454 0.4252 0.0122
F: 0.0000 0.0000 0.5000
F: 0.7650 0.9650 0.7500
F: 0.3665 0.5501 0.2500
F: 0.9441 0.2246 0.7500
Cd: 0.7288 0.1627 0.2500
F: 0.2798 0.8546 0.4878
F: 0.7194 0.9441 0.2500
Ag: 0.0000 0.0000 0.7500
F: 0.0000 0.0000 0.0000
F: 0.5748 0.7202 0.4878
F: 0.6335 0.4499 0.7500
Zr: 0.7225 0.1378 0.7500
F: 0.5869 0.5276 0.2500
F: 0.2246 0.2806 0.2500
F: 0.3333 0.6667 0.7500
F: 0.5501 0.1836 0.7500
Cd: 0.1627 0.4339 0.7500
Zr: 0.5846 0.7225 0.2500
F: 0.8546 0.5748 0.9878
F: 0.4252 0.2798 0.9878
F: 0.1836 0.6335 0.2500
F: 0.7202 0.1454 0.9878
F: 0.8164 0.3665 0.7500
F: 0.4252 0.2798 0.5122
F: 0.5748 0.7202 0.0122
F: 0.1454 0.4252 0.4878
F: 0.4499 0.8164 0.2500
Cd: 0.4339 0.2712 0.2500
F: 0.7754 0.7194 0.7500
F: 0.9407 0.4131 0.2500
F: 0.2000 0.2350 0.7500
Zr: 0.4154 0.2775 0.7500
F: 0.0559 0.7754 0.2500
F: 0.0350 0.8000 0.7500
F: 0.7202 0.1454 0.5122
F: 0.2798 0.8546 0.0122
F: 0.4131 0.4724 0.7500
F: 0.2350 0.0350 0.2500
Zr: 0.1378 0.4154 0.2500
Cd: 0.8373 0.5661 0.2500
Zr: 0.2775 0.8622 0.2500
F: 0.4724 0.0593 0.2500
F: 0.8546 0.5748 0.5122

Energy of formation from the pure elements   -3234 meV/atom

Entry from the Materials Project: crystalline Zn3CdGa2Ag2S8 at its relaxed geometry (GGA-PBE).

Lattice parameters (Å, degrees): 6.4760 6.7714 8.0045 90.20 89.98 89.93
Sites, in units of the cell vectors:
S: 0.8568 0.3159 0.5156
S: 0.8974 0.3538 0.9847
Ag: 0.5024 0.3387 0.9973
S: 0.3604 0.6953 0.9995
S: 0.8656 0.8153 0.2334
Ga: 0.0022 0.6777 0.9950
Zn: 0.5012 0.8276 0.2509
S: 0.8708 0.8420 0.7663
S: 0.3956 0.1616 0.2664
Zn: 0.5024 0.8327 0.7495
Cd: 0.0006 0.1685 0.2484
Ag: 0.0071 0.6646 0.5024
S: 0.3690 0.1601 0.7337
Zn: 0.0028 0.1660 0.7510
Ga: 0.5015 0.3248 0.5049
S: 0.4017 0.6552 0.5008

Energy of formation from the pure elements   -880 meV/atom

Entry from the Materials Project: crystalline GdCdAg2 at its relaxed geometry (GGA-PBE).

Lattice parameters (Å, degrees): 4.9903 4.9903 4.9903 60.00 60.00 60.00
Sites, in units of the cell vectors:
Cd: 0.5000 0.5000 0.5000
Ag: 0.2500 0.2500 0.2500
Gd: 0.0000 0.0000 0.0000
Ag: 0.7500 0.7500 0.7500

Energy of formation from the pure elements   -278 meV/atom

Entry from the Materials Project: crystalline CdAg4Ge2S7 at its relaxed geometry (GGA-PBE).

Lattice parameters (Å, degrees): 9.5558 9.5558 10.6502 87.00 87.00 42.54
Sites, in units of the cell vectors:
S: 0.0840 0.4535 0.1415
Ge: 0.3977 0.7471 0.1687
S: 0.2192 0.5580 0.4161
Ag: 0.1846 0.8248 0.4997
Ag: 0.2596 0.6134 0.8862
S: 0.7001 0.9673 0.2837
S: 0.8641 0.4659 0.5167
S: 0.2932 0.9369 0.3390
S: 0.4659 0.8641 0.0167
S: 0.9673 0.7001 0.7837
S: 0.1345 0.8034 0.0959
Ge: 0.6895 0.0349 0.7438
S: 0.5580 0.2192 0.9161
Ge: 0.0349 0.6895 0.2438
Cd: 0.3299 0.9694 0.7895
Ag: 0.6027 0.8448 0.4451
S: 0.9369 0.2932 0.8390
Ag: 0.8248 0.1846 0.9997
S: 0.6738 0.4047 0.2034
S: 0.4047 0.6738 0.7034
Ag: 0.6134 0.2596 0.3862
Cd: 0.9694 0.3299 0.2895
Ag: 0.8448 0.6027 0.9451
S: 0.4535 0.0840 0.6415
Ag: 0.1082 0.4697 0.5976
Ag: 0.4697 0.1082 0.0976
S: 0.8034 0.1345 0.5959
Ge: 0.7471 0.3977 0.6687

Energy of formation from the pure elements   -538 meV/atom

Entry from the Materials Project: crystalline HoCdAg2 at its relaxed geometry (GGA-PBE).

Lattice parameters (Å, degrees): 4.9457 4.9457 4.9457 60.00 60.00 60.00
Sites, in units of the cell vectors:
Ag: 0.2500 0.2500 0.2500
Cd: 0.5000 0.5000 0.5000
Ho: 0.0000 0.0000 0.0000
Ag: 0.7500 0.7500 0.7500

Energy of formation from the pure elements   -285 meV/atom

Entry from the Materials Project: crystalline CdAg2I4 at its relaxed geometry (GGA-PBE).

Lattice parameters (Å, degrees): 7.9784 7.9784 7.9784 131.29 131.29 71.35
Sites, in units of the cell vectors:
Ag: 0.2500 0.7500 0.5000
Ag: 0.7500 0.2500 0.5000
I: 0.6221 0.6221 0.4827
I: 0.8606 0.3779 0.0000
Cd: 0.0000 0.0000 0.0000
I: 0.3779 0.8606 0.0000
I: 0.1394 0.1394 0.5173

Energy of formation from the pure elements   -641 meV/atom
Piezoelectric modulus e_max   0.44 C/m2

Entry from the Materials Project: crystalline Cd2InAgS4 at its relaxed geometry (GGA-PBE).

Lattice parameters (Å, degrees): 7.9623 7.9623 7.2760 63.48 63.48 30.42
Sites, in units of the cell vectors:
S: 0.0613 0.0613 0.2706
In: 0.7522 0.7522 0.5905
S: 0.8115 0.8115 0.8516
Cd: 0.9978 0.9978 0.6584
S: 0.3078 0.3078 0.3608
Ag: 0.2493 0.2493 0.0791
S: 0.5656 0.5656 0.7688
Cd: 0.5023 0.5023 0.1722

Energy of formation from the pure elements   -755 meV/atom

Entry from the Materials Project: crystalline CdInAgTe3 at its relaxed geometry (GGA-PBE).

Lattice parameters (Å, degrees): 8.0660 8.0660 6.6072 65.86 65.86 33.48
Sites, in units of the cell vectors:
Te: 0.4996 0.4996 0.2456
Ag: 0.0006 0.0006 0.0054
Te: 0.1645 0.1645 0.5908
Cd: 0.6642 0.6642 0.3356
In: 0.3351 0.3351 0.6553
Te: 0.8359 0.8359 0.9174

Energy of formation from the pure elements   -540 meV/atom

Entry from the Materials Project: crystalline Cd2In3Ag3Te8 at its relaxed geometry (GGA-PBE).

Lattice parameters (Å, degrees): 6.6064 6.6064 12.9994 90.00 90.00 90.00
Sites, in units of the cell vectors:
Te: 0.2487 0.7549 0.8753
Te: 0.7491 0.7527 0.6271
Te: 0.7549 0.7513 0.1247
Ag: 0.5000 0.0000 0.7502
Te: 0.2451 0.2487 0.1247
In: 0.0000 0.5000 0.7505
In: 0.5000 0.5000 0.0000
Ag: 0.0000 0.5000 0.2498
Ag: 0.0000 0.0000 0.0000
Cd: 0.5000 0.5000 0.5000
Cd: 0.0000 0.0000 0.5000
Te: 0.7513 0.2451 0.8753
Te: 0.7527 0.2509 0.3729
Te: 0.2509 0.2473 0.6271
In: 0.5000 0.0000 0.2495
Te: 0.2473 0.7491 0.3729

Energy of formation from the pure elements   -539 meV/atom